No. 1
# Mo2P3O13 | the Materials Project database | meta-GGA r2SCAN | relaxed
# Volume: 258 Å³/f.u.
# Crystal system: triclinic
# M_tot: 2.00 μB per cell
# Uncorrected energy: -10.95 eV per atom
data_Mo2P3O13
_chemical_formula_sum 'Mo4 P6 O26'
_space_group_name_H-M_alt 'P -1'
_space_group_IT_number 2
_cell_length_a 6.325
_cell_length_b 7.499
_cell_length_c 11.372
_cell_angle_alpha 77.02
_cell_angle_beta 86.67
_cell_angle_gamma 78.56
loop_
_space_group_symop_operation_xyz
'x,y,z'
'-x,-y,-z'
loop_
_atom_site_label
_atom_site_fract_x
_atom_site_fract_y
_atom_site_fract_z
_atom_site_occupancy
Mo1 0.198 0.209 0.093 1
Mo2 0.248 0.197 0.595 1
P1 0.114 0.460 0.318 1
P2 0.258 0.791 0.330 1
P3 0.274 0.941 0.884 1
O1 0.069 0.799 0.420 1
O2 0.103 0.819 0.894 1
O3 0.111 0.456 0.650 1
O4 0.130 0.356 0.218 1
O5 0.182 0.382 0.972 1
O6 0.236 0.104 0.776 1
O7 0.240 0.336 0.427 1
O8 0.244 0.624 0.266 1
O9 0.246 0.966 0.236 1
O10 0.263 0.015 0.999 1
O11 0.322 0.982 0.574 1
O12 0.471 0.733 0.396 1
O13 0.492 0.812 0.879 1



No. 2
# Mo2P3O13 | the Materials Project database | meta-GGA r2SCAN | relaxed
# Volume: 277 Å³/f.u.
# Crystal system: triclinic
# M_tot: 2.00 μB per cell
# Uncorrected energy: -10.95 eV per atom
data_Mo2P3O13
_chemical_formula_sum 'Mo4 P6 O26'
_space_group_name_H-M_alt 'P -1'
_space_group_IT_number 2
_cell_length_a 8.789
_cell_length_b 8.988
_cell_length_c 9.035
_cell_angle_alpha 111.23
_cell_angle_beta 110.35
_cell_angle_gamma 106.16
loop_
_space_group_symop_operation_xyz
'x,y,z'
'-x,-y,-z'
loop_
_atom_site_label
_atom_site_fract_x
_atom_site_fract_y
_atom_site_fract_z
_atom_site_occupancy
Mo1 0.017 0.342 0.180 1
Mo2 0.337 0.163 0.820 1
P1 0.095 0.156 0.422 1
P2 0.173 0.734 0.578 1
P3 0.258 0.508 0.016 1
O1 0.015 0.265 0.530 1
O2 0.068 0.031 0.720 1
O3 0.090 0.514 0.897 1
O4 0.115 0.849 0.018 1
O5 0.147 0.251 0.323 1
O6 0.153 0.691 0.721 1
O7 0.193 0.600 0.443 1
O8 0.216 0.439 0.137 1
O9 0.251 0.158 0.558 1
O10 0.307 0.383 0.897 1
O11 0.323 0.928 0.676 1
O12 0.402 0.168 0.018 1
O13 0.421 0.697 0.136 1



No. 3
# MoP2O7 | the Materials Project database | meta-GGA r2SCAN | relaxed
# Volume: 140 Å³/f.u.
# Crystal system: monoclinic
# M_tot: 8.00 μB per cell
# Uncorrected energy: -10.85 eV per atom
data_MoP2O7
_chemical_formula_sum 'Mo4 P8 O28'
_space_group_name_H-M_alt 'P 1 21/c 1'
_space_group_IT_number 14
_cell_length_a 8.891
_cell_length_b 5.297
_cell_length_c 13.333
_cell_angle_alpha 90.00
_cell_angle_beta 117.04
_cell_angle_gamma 90.00
loop_
_space_group_symop_operation_xyz
'x,y,z'
'-x,-y,-z'
'-x,y+1/2,-z+1/2'
'x,-y+1/2,z+1/2'
loop_
_atom_site_label
_atom_site_fract_x
_atom_site_fract_y
_atom_site_fract_z
_atom_site_occupancy
Mo1 0.228 0.247 0.465 1
P1 0.188 0.739 0.617 1
P2 0.337 0.741 0.861 1
O1 0.024 0.737 0.124 1
O2 0.212 0.019 0.079 1
O3 0.216 0.554 0.050 1
O4 0.240 0.541 0.377 1
O5 0.251 0.010 0.355 1
O6 0.334 0.723 0.242 1
O7 0.481 0.246 0.554 1



No. 4
# MoP2O7 | the Materials Project database | meta-GGA r2SCAN | relaxed
# Volume: 137 Å³/f.u.
# Crystal system: monoclinic
# M_tot: 4.00 μB per cell
# Uncorrected energy: -10.86 eV per atom
data_MoP2O7
_chemical_formula_sum 'Mo2 P4 O14'
_space_group_name_H-M_alt 'P 1 21 1'
_space_group_IT_number 4
_cell_length_a 4.909
_cell_length_b 8.297
_cell_length_c 7.007
_cell_angle_alpha 90.00
_cell_angle_beta 106.67
_cell_angle_gamma 90.00
loop_
_space_group_symop_operation_xyz
'x,y,z'
'-x,y+1/2,-z'
loop_
_atom_site_label
_atom_site_fract_x
_atom_site_fract_y
_atom_site_fract_z
_atom_site_occupancy
Mo1 0.219 0.000 0.228 1
P1 0.236 0.736 0.610 1
P2 0.385 0.311 0.003 1
O1 0.009 0.179 0.317 1
O2 0.138 0.838 0.428 1
O3 0.147 0.434 0.963 1
O4 0.286 0.140 0.005 1
O5 0.422 0.854 0.778 1
O6 0.426 0.595 0.589 1
O7 0.434 0.828 0.140 1



No. 5
# MoP5O15 | the Materials Project database | meta-GGA r2SCAN | relaxed
# Volume: 293 Å³/f.u.
# Crystal system: monoclinic
# M_tot: 2.00 μB per cell
# Uncorrected energy: -9.74 eV per atom
data_MoP5O15
_chemical_formula_sum 'Mo2 P10 O30'
_space_group_name_H-M_alt 'P 1 21/m 1'
_space_group_IT_number 11
_cell_length_a 5.218
_cell_length_b 13.772
_cell_length_c 8.361
_cell_angle_alpha 90.00
_cell_angle_beta 103.15
_cell_angle_gamma 90.00
loop_
_space_group_symop_operation_xyz
'x,y,z'
'-x,-y,-z'
'-x,y+1/2,-z'
'x,-y+1/2,z'
loop_
_atom_site_label
_atom_site_fract_x
_atom_site_fract_y
_atom_site_fract_z
_atom_site_occupancy
Mo1 0.000 0.000 0.000 1
P1 0.043 0.250 0.457 1
P2 0.157 0.081 0.661 1
P3 0.494 0.143 0.983 1
O1 0.001 0.035 0.786 1
O2 0.030 0.661 0.422 1
O3 0.159 0.750 0.695 1
O4 0.218 0.619 0.981 1
O5 0.278 0.012 0.574 1
O6 0.329 0.250 0.477 1
O7 0.333 0.078 0.068 1
O8 0.380 0.141 0.795 1
O9 0.453 0.250 0.034 1



No. 6
# MoP2O7 | the Materials Project database | meta-GGA r2SCAN | relaxed
# Volume: 134 Å³/f.u.
# Crystal system: monoclinic
# M_tot: 8.00 μB per cell
# Uncorrected energy: -10.86 eV per atom
data_MoP2O7
_chemical_formula_sum 'Mo4 P8 O28'
_space_group_name_H-M_alt 'P 1 21/c 1'
_space_group_IT_number 14
_cell_length_a 7.203
_cell_length_b 8.319
_cell_length_c 9.534
_cell_angle_alpha 90.00
_cell_angle_beta 109.73
_cell_angle_gamma 90.00
loop_
_space_group_symop_operation_xyz
'x,y,z'
'-x,-y,-z'
'-x,y+1/2,-z+1/2'
'x,-y+1/2,z+1/2'
loop_
_atom_site_label
_atom_site_fract_x
_atom_site_fract_y
_atom_site_fract_z
_atom_site_occupancy
Mo1 0.225 0.006 0.252 1
P1 0.176 0.703 0.450 1
P2 0.425 0.239 0.554 1
O1 0.046 0.585 0.336 1
O2 0.137 0.625 0.902 1
O3 0.166 0.676 0.605 1
O4 0.301 0.147 0.104 1
O5 0.314 0.183 0.396 1
O6 0.393 0.658 0.455 1
O7 0.494 0.598 0.841 1



Q: Which value of M_tot does entry 5 give?
A: 2.00 μB per cell



Q: Which formula does entry 3 have?
A: MoP2O7